[1]
EuRh2: relaxed, r²SCAN.

Cell lengths 5.382, 5.382, 5.382 Å; angles 60.01, 60.01, 60.00 degrees
Atoms (fractional coordinates):
1 Rh 0.500 0.000 0.500
2 Rh 0.500 0.500 0.500
3 Rh 0.500 0.500 0.000
4 Rh 0.000 0.500 0.500
5 Eu 0.875 0.875 0.875
6 Eu 0.125 0.125 0.125

Formation energy = -0.491 eV per atom
Spin magnetization = 11.979 μB per cell
Theoretical density = 10.78 g cm⁻³

[2]
Eu3Rh: relaxed, r²SCAN.

Cell lengths 6.625, 7.717, 9.736 Å; angles 90.00, 90.00, 90.00 degrees
Atoms (fractional coordinates):
1 Rh 0.543 0.620 0.750
2 Rh 0.957 0.120 0.750
3 Rh 0.043 0.880 0.250
4 Rh 0.457 0.380 0.250
5 Eu 0.663 0.329 0.567
6 Eu 0.337 0.671 0.433
7 Eu 0.662 0.329 0.933
8 Eu 0.140 0.457 0.750
9 Eu 0.860 0.543 0.250
10 Eu 0.640 0.043 0.250
11 Eu 0.360 0.957 0.750
12 Eu 0.838 0.829 0.933
13 Eu 0.837 0.829 0.567
14 Eu 0.162 0.171 0.067
15 Eu 0.338 0.671 0.067
16 Eu 0.163 0.171 0.433

Formation energy = -0.335 eV per atom
Spin magnetization = 87.950 μB per cell
Theoretical density = 7.46 g cm⁻³

[3]
EuSi3Rh: relaxed, r²SCAN.

Cell lengths 5.770, 5.770, 5.770 Å; angles 137.20, 137.20, 62.13 degrees
Atoms (fractional coordinates):
1 Rh 0.655 0.655 0.000
2 Si 0.414 0.414 0.000
3 Si 0.263 0.763 0.500
4 Si 0.763 0.263 0.500
5 Eu 0.003 0.003 0.000

Formation energy = -0.731 eV per atom
Spin magnetization = 6.743 μB per cell
Theoretical density = 6.43 g cm⁻³

[4]
EuSb12Ru4: relaxed, r²SCAN.

Cell lengths 8.090, 8.090, 8.090 Å; angles 109.47, 109.47, 109.47 degrees
Atoms (fractional coordinates):
1 Sb 0.658 0.842 0.500
2 Sb 0.342 0.842 0.183
3 Sb 0.817 0.658 0.158
4 Sb 0.183 0.342 0.842
5 Sb 0.500 0.342 0.158
6 Sb 0.158 0.500 0.342
7 Sb 0.842 0.500 0.658
8 Sb 0.658 0.158 0.817
9 Sb 0.158 0.817 0.658
10 Sb 0.842 0.183 0.342
11 Sb 0.342 0.158 0.500
12 Sb 0.500 0.658 0.842
13 Ru 0.000 0.000 0.500
14 Ru 0.500 0.500 0.500
15 Ru 0.500 0.000 0.000
16 Ru 0.000 0.500 0.000
17 Eu 0.000 0.000 0.000

Formation energy = -0.367 eV per atom
Spin magnetization = 6.536 μB per cell
Theoretical density = 8.22 g cm⁻³

[5]
EuS2: relaxed, r²SCAN.

Cell lengths 4.038, 7.929, 8.388 Å; angles 89.40, 90.00, 90.00 degrees
Atoms (fractional coordinates):
1 Eu 0.239 0.871 0.294
2 Eu 0.261 0.371 0.294
3 Eu 0.761 0.129 0.706
4 Eu 0.739 0.629 0.706
5 S 0.331 0.095 0.000
6 S 0.742 0.624 0.362
7 S 0.169 0.595 0.000
8 S 0.242 0.876 0.638
9 S 0.669 0.905 0.000
10 S 0.758 0.124 0.362
11 S 0.831 0.405 0.000
12 S 0.258 0.376 0.638

Formation energy = -1.624 eV per atom
Spin magnetization = 24.875 μB per cell
Theoretical density = 5.34 g cm⁻³

[6]
Eu2SeS: relaxed, r²SCAN.

Cell lengths 7.368, 7.368, 7.368 Å; angles 33.52, 33.52, 33.52 degrees
Atoms (fractional coordinates):
1 Eu 0.247 0.247 0.247
2 Eu 0.753 0.753 0.753
3 Se 0.000 0.000 0.000
4 S 0.500 0.500 0.500

Formation energy = -2.387 eV per atom
Spin magnetization = 14.000 μB per cell
Theoretical density = 6.34 g cm⁻³

[7]
Sm2EuS4: relaxed, r²SCAN.

Cell lengths 7.409, 7.409, 7.409 Å; angles 109.35, 109.35, 109.71 degrees
Atoms (fractional coordinates):
1 S 0.008 0.359 0.501
2 S 0.007 0.858 0.499
3 S 0.358 0.507 0.999
4 S 0.493 0.992 0.850
5 S 0.142 0.141 0.150
6 S 0.492 0.993 0.350
7 S 0.859 0.508 0.001
8 S 0.641 0.642 0.650
9 Eu 0.875 0.125 0.750
10 Eu 0.625 0.375 0.250
11 Sm 0.750 0.877 0.127
12 Sm 0.377 0.250 0.627
13 Sm 0.250 0.623 0.373
14 Sm 0.123 0.750 0.873

Formation energy = -2.402 eV per atom
Spin magnetization = 0.000 μB per cell
Theoretical density = 6.16 g cm⁻³

[8]
Sm3Eu3S8: relaxed, r²SCAN.

Cell lengths 7.418, 7.418, 8.562 Å; angles 54.91, 54.91, 70.59 degrees
Atoms (fractional coordinates):
1 Sm 0.372 0.628 0.000
2 Sm 0.627 0.125 0.876
3 Sm 0.875 0.373 0.124
4 S 0.356 0.495 0.759
5 S 0.999 0.358 0.389
6 S 0.848 0.496 0.758
7 S 0.642 0.001 0.611
8 S 0.998 0.851 0.898
9 S 0.505 0.644 0.241
10 S 0.504 0.152 0.242
11 S 0.149 0.002 0.102
12 Eu 0.750 0.752 0.376
13 Eu 0.127 0.873 0.500
14 Eu 0.248 0.250 0.624

Formation energy = -2.371 eV per atom
Spin magnetization = 20.000 μB per cell
Theoretical density = 6.12 g cm⁻³

Copy entry 5 word for word.
EuS2: relaxed, r²SCAN.

Cell lengths 4.038, 7.929, 8.388 Å; angles 89.40, 90.00, 90.00 degrees
Atoms (fractional coordinates):
1 Eu 0.239 0.871 0.294
2 Eu 0.261 0.371 0.294
3 Eu 0.761 0.129 0.706
4 Eu 0.739 0.629 0.706
5 S 0.331 0.095 0.000
6 S 0.742 0.624 0.362
7 S 0.169 0.595 0.000
8 S 0.242 0.876 0.638
9 S 0.669 0.905 0.000
10 S 0.758 0.124 0.362
11 S 0.831 0.405 0.000
12 S 0.258 0.376 0.638

Formation energy = -1.624 eV per atom
Spin magnetization = 24.875 μB per cell
Theoretical density = 5.34 g cm⁻³